The following is a DFT calculation (GGA-PBE) of a relaxed structure of Na7Zr4Si5PO24.

Results
- energy relative to the lowest polymorph listed for this composition (meV/atom) = 7
- symmetry = No. 1
- MP2020-corrected energy (eV/atom) = -7.874
- DFT formation energy (eV/atom) = -3.12
- mass density (Mg/m³) = 3.16

Cell lengths 9.272, 9.277, 22.861 Å; angles 89.91, 90.06, 120.05 degrees
Atoms (fractional coordinates):
Na (0.637, 0.002, 0.251)
Na (0.363, 0.364, 0.248)
Na (0.001, 0.633, 0.251)
Na (0.633, 0.632, 0.749)
Na (0.999, 0.365, 0.750)
Na (0.368, 0.003, 0.751)
Na (0.301, 0.332, 0.584)
Na (0.032, 0.701, 0.583)
Na (0.669, 0.967, 0.584)
Na (0.293, 0.968, 0.080)
Na (0.039, 0.337, 0.086)
Na (0.973, 0.670, 0.918)
Na (0.329, 0.293, 0.919)
Na (0.330, 0.030, 0.417)
Na (0.705, 0.669, 0.419)
Na (0.995, 0.008, 0.499)
Na (0.982, 0.990, 0.000)
Na (0.668, 0.313, 0.834)
Na (0.686, 0.330, 0.335)
Na (0.345, 0.661, 0.165)
Na (0.335, 0.666, 0.667)
Zr (0.997, 0.002, 0.352)
Zr (0.999, 0.003, 0.853)
Zr (0.000, 0.999, 0.648)
Zr (0.998, 0.994, 0.147)
Zr (0.667, 0.334, 0.685)
Zr (0.668, 0.341, 0.185)
Zr (0.666, 0.332, 0.981)
Zr (0.675, 0.332, 0.481)
Zr (0.334, 0.665, 0.019)
Zr (0.332, 0.669, 0.518)
Zr (0.327, 0.667, 0.315)
Zr (0.332, 0.671, 0.815)
Si (0.296, 0.001, 0.251)
Si (0.705, 0.706, 0.252)
Si (0.000, 0.293, 0.247)
Si (0.296, 0.296, 0.751)
Si (0.999, 0.704, 0.751)
Si (0.705, 0.999, 0.748)
Si (0.964, 0.333, 0.585)
Si (0.372, 0.040, 0.582)
Si (0.666, 0.628, 0.583)
Si (0.964, 0.631, 0.082)
Si (0.368, 0.334, 0.083)
Si (0.036, 0.370, 0.917)
Si (0.333, 0.965, 0.917)
Si (0.629, 0.963, 0.416)
Si (0.033, 0.668, 0.416)
P (0.666, 0.042, 0.085)
P (0.626, 0.665, 0.916)
P (0.334, 0.373, 0.417)
O (0.209, 0.031, 0.308)
O (0.821, 0.788, 0.311)
O (0.969, 0.167, 0.302)
O (0.206, 0.177, 0.808)
O (0.973, 0.794, 0.809)
O (0.832, 0.029, 0.803)
O (0.787, 0.970, 0.689)
O (0.179, 0.209, 0.692)
O (0.028, 0.820, 0.693)
O (0.799, 0.833, 0.197)
O (0.030, 0.212, 0.188)
O (0.177, 0.972, 0.193)
O (0.883, 0.365, 0.645)
O (0.489, 0.127, 0.640)
O (0.639, 0.513, 0.641)
O (0.875, 0.514, 0.140)
O (0.642, 0.121, 0.141)
O (0.477, 0.347, 0.142)
O (0.462, 0.309, 0.026)
O (0.854, 0.535, 0.024)
O (0.689, 0.158, 0.032)
O (0.460, 0.157, 0.525)
O (0.692, 0.537, 0.525)
O (0.837, 0.303, 0.530)
O (0.533, 0.682, 0.969)
O (0.155, 0.464, 0.974)
O (0.315, 0.850, 0.975)
O (0.538, 0.848, 0.475)
O (0.318, 0.459, 0.473)
O (0.148, 0.685, 0.474)
O (0.125, 0.649, 0.357)
O (0.515, 0.867, 0.358)
O (0.350, 0.478, 0.362)
O (0.130, 0.485, 0.858)
O (0.353, 0.874, 0.858)
O (0.525, 0.645, 0.859)
O (0.029, 0.844, 0.415)
O (0.812, 0.975, 0.414)
O (0.181, 0.194, 0.414)
O (0.027, 0.189, 0.914)
O (0.157, 0.971, 0.915)
O (0.806, 0.816, 0.914)
O (0.982, 0.166, 0.587)
O (0.186, 0.019, 0.587)
O (0.834, 0.813, 0.586)
O (0.991, 0.820, 0.085)
O (0.828, 0.032, 0.087)
O (0.181, 0.165, 0.085)
O (0.684, 0.165, 0.746)
O (0.481, 0.312, 0.746)
O (0.832, 0.518, 0.747)
O (0.690, 0.522, 0.245)
O (0.833, 0.313, 0.245)
O (0.484, 0.165, 0.245)
O (0.637, 0.503, 0.921)
O (0.857, 0.365, 0.920)
O (0.491, 0.157, 0.920)
O (0.631, 0.141, 0.419)
O (0.496, 0.361, 0.420)
O (0.842, 0.510, 0.419)
O (0.345, 0.498, 0.081)
O (0.152, 0.650, 0.079)
O (0.507, 0.870, 0.078)
O (0.354, 0.853, 0.578)
O (0.497, 0.644, 0.579)
O (0.149, 0.498, 0.579)
O (0.313, 0.832, 0.254)
O (0.517, 0.680, 0.256)
O (0.167, 0.477, 0.254)
O (0.318, 0.483, 0.756)
O (0.168, 0.686, 0.754)
O (0.521, 0.831, 0.755)